Record 1
Material: Mn12O7F17
Method: DFT, PBE+U
State: relaxed

Calculated values
For the calculated formation energy, the calculation gives -2547 meV/atom. Its energy with MP2020 corrections is -268.8 eV per cell. Its space-group type is P1.

Cell: 4.8070 5.8257 15.8517 Å, 89.63 89.77 87.47°
Closest atoms and distances in Å follow each position.
Positions (direct):
Mn 0.9656 0.8502 0.4185  2 O 1.93-1.95, 3 F 2.04-2.12
Mn 0.9578 0.1610 0.2451  2 O 1.96, 3 F 2.06-2.16
Mn 0.0171 0.8487 0.0823  2 O 2.05-2.11, 4 F 2.11-2.19
Mn 0.9541 0.8252 0.7578  2 O 2.03-2.04, 3 F 2.08-2.17
Mn 0.0074 0.1619 0.5795  1 O 2.07, 5 F 2.08-2.18
Mn 0.9909 0.1523 0.9102  1 O 1.99, 5 F 2.05-2.16
Mn 0.5208 0.6629 0.5774  1 O 1.97, 3 F 1.98-2.11
Mn 0.4966 0.6466 0.9212  2 O 1.96, 4 F 2.02-2.13
Mn 0.4938 0.6446 0.2534  1 O 2.00, 5 F 2.04-2.18
Mn 0.5091 0.3493 0.0848  2 O 1.98-2.02, 4 F 2.06-2.19
Mn 0.5545 0.3469 0.4169  3 O 1.91-2.06, 1 F 2.06
Mn 0.5217 0.3440 0.7568  2 O 1.91-1.98, 1 F 2.07
O 0.7781 0.1229 0.1360  3 Mn 1.96-2.11
O 0.7773 0.1104 0.4717  3 Mn 1.91-2.07
O 0.7671 0.1146 0.8062  3 Mn 1.91-2.03
O 0.7044 0.3755 0.3055  3 Mn 1.91-2.00
O 0.7318 0.6240 0.4716  3 Mn 1.95-2.06
O 0.6996 0.5999 0.8145  3 Mn 1.96-2.04
O 0.3013 0.6181 0.0293  3 Mn 1.96-2.05
F 0.7489 0.8791 0.3025  3 Mn 2.04-2.16
F 0.7773 0.8916 0.6399  3 Mn 2.08-2.18
F 0.7771 0.8784 0.9713  3 Mn 2.11-2.16
F 0.7470 0.6147 0.1416  3 Mn 2.14-2.17
F 0.7440 0.3998 0.6405  3 Mn 2.08-2.16
F 0.7376 0.3822 0.9755  3 Mn 2.05-2.07
F 0.2639 0.3901 0.1910  3 Mn 2.06-2.20
F 0.2418 0.6137 0.3670  3 Mn 2.04-2.26
F 0.3017 0.3759 0.5217  3 Mn 2.06-2.21
F 0.2546 0.3925 0.8647  3 Mn 2.05-2.15
F 0.2719 0.6164 0.6932  3 Mn 2.17-2.21
F 0.2297 0.8928 0.1975  3 Mn 2.08-2.13
F 0.2406 0.8845 0.5284  3 Mn 1.98-2.21
F 0.1880 0.0978 0.3530  2 Mn 2.06-2.10
F 0.2370 0.1206 0.0177  3 Mn 2.08-2.19
F 0.2361 0.8759 0.8615  3 Mn 2.02-2.16
F 0.2539 0.1354 0.6942  2 Mn 2.07-2.17



Record 2
Material: Mg6BWO8
Method: DFT, PBE+U
State: relaxed

Calculated values
For the calculated formation energy, the calculation gives -2234 meV/atom. Its energy with MP2020 corrections is -104.6 eV per cell. Its space-group type is P4/mmm.

Cell: 8.9439 4.3121 4.3121 Å, 90.00 90.00 90.00°
Closest atoms and distances in Å follow each position.
Positions (direct):
Mg 0.0000 0.5000 0.5000  6 O 2.16-2.23
Mg 0.5000 0.5000 0.5000  6 O 2.16-2.24
Mg 0.2697 0.0000 0.5000  5 O 2.06-2.17
Mg 0.7303 0.0000 0.5000  5 O 2.06-2.17
Mg 0.2697 0.5000 0.0000  5 O 2.06-2.17
Mg 0.7303 0.5000 0.0000  5 O 2.06-2.17
B 0.5000 0.0000 0.0000  6 O 2.16-2.33
W 0.0000 0.0000 0.0000  6 O 2.14-2.16
O 0.2395 0.0000 0.0000  1 W 2.14, 4 Mg 2.17, 1 B 2.33
O 0.7605 0.0000 0.0000  1 W 2.14, 4 Mg 2.17, 1 B 2.33
O 0.2491 0.5000 0.5000  6 Mg 2.16-2.24
O 0.7509 0.5000 0.5000  6 Mg 2.16-2.24
O 0.0000 0.0000 0.5000  4 Mg 2.16-2.41, 2 W 2.16
O 0.5000 0.0000 0.5000  4 Mg 2.06-2.16, 2 B 2.16
O 0.0000 0.5000 0.0000  2 W 2.16, 4 Mg 2.16-2.41
O 0.5000 0.5000 0.0000  4 Mg 2.06-2.16, 2 B 2.16



Record 3
Material: Na4V20Cu15O60
Method: DFT, PBE+U
State: relaxed

Calculated values
For the calculated formation energy, the calculation gives -1917 meV/atom. Its energy with MP2020 corrections is -735.2 eV per cell. Its space-group type is R-3.

Cell: 10.3953 10.3953 12.1896 Å, 90.00 64.76 60.00°
Closest atoms and distances in Å follow each position.
Positions (direct):
Na 0.0004 0.9998 0.9995  12 O 2.60-2.63
Na 0.6010 0.1995 0.5984  12 O 2.61-2.63
Na 0.1989 0.4005 0.2016  12 O 2.61-2.63
Na 0.7996 0.6002 0.8005  12 O 2.60-2.63
V 0.2020 0.8990 0.6970  6 O 1.95-1.98
V 0.5980 0.7010 0.1030  6 O 1.95-1.98
V 0.0002 0.4999 0.4997  6 O 1.92-1.93
V 0.4000 0.3000 0.9000  6 O 1.93
V 0.7998 0.1001 0.3003  6 O 1.92-1.93
V 0.0998 0.2004 0.1014  6 O 1.93-1.98
V 0.5014 0.9933 0.4973  6 O 1.86-2.02
V 0.9000 0.8000 0.9000  6 O 1.95-1.96
V 0.2986 0.6067 0.3027  6 O 1.86-2.02
V 0.7002 0.3996 0.6986  6 O 1.93-1.98
V 0.4000 0.8000 0.9000  6 O 1.95-1.96
V 0.7920 0.6013 0.3027  6 O 1.86-2.02
V 0.2016 0.3988 0.6986  6 O 1.93-1.98
V 0.5984 0.2012 0.1014  6 O 1.93-1.98
V 0.0080 0.9987 0.4973  6 O 1.86-2.02
V 0.4960 0.5053 0.4973  6 O 1.86-2.02
V 0.9000 0.3000 0.9000  6 O 1.95-1.96
V 0.3040 0.0947 0.3027  6 O 1.86-2.02
V 0.7010 0.9002 0.6986  6 O 1.93-1.98
V 0.0990 0.6998 0.1014  6 O 1.93-1.98
Cu 0.9000 0.3000 0.4000  4 O 1.92-1.93
Cu 0.2992 0.1002 0.8000  4 O 1.92-1.95
Cu 0.6996 0.9010 0.1995  4 O 1.93-1.96
Cu 0.1004 0.6990 0.6005  4 O 1.93-1.96
Cu 0.5008 0.4998 0.0000  4 O 1.92-1.95
Cu 0.6001 0.7009 0.6005  4 O 1.93-1.96
Cu 0.9993 0.5009 0.0000  4 O 1.92-1.95
Cu 0.4000 0.3000 0.4000  4 O 1.92-1.93
Cu 0.8007 0.0991 0.8000  4 O 1.92-1.95
Cu 0.1999 0.8991 0.1995  4 O 1.93-1.96
Cu 0.7015 0.3994 0.1995  4 O 1.93-1.96
Cu 0.0985 0.2006 0.6005  4 O 1.93-1.96
Cu 0.4997 0.9994 0.0000  4 O 1.92-1.95
Cu 0.9000 0.8000 0.4000  4 O 1.92-1.93
Cu 0.3003 0.6006 0.8000  4 O 1.92-1.95
O 0.9698 0.6048 0.1493  1 Cu 1.94, 2 V 1.94-2.01
O 0.5712 0.8042 0.7496  1 Cu 1.94, 2 V 1.96
O 0.1630 0.0063 0.3513  2 V 1.86-1.99, 1 Cu 1.94
O 0.7690 0.2052 0.9483  1 Cu 1.93, 2 V 1.96-1.97
O 0.3676 0.4042 0.5489  1 Cu 1.92, 2 V 1.93-1.99
O 0.2288 0.7958 0.0504  1 Cu 1.94, 2 V 1.96
O 0.8302 0.9952 0.6507  1 Cu 1.94, 2 V 1.94-2.01
O 0.4324 0.1958 0.2511  1 Cu 1.92, 2 V 1.93-1.99
O 0.0310 0.3948 0.8517  1 Cu 1.93, 2 V 1.96-1.97
O 0.6370 0.5937 0.4487  2 V 1.86-1.99, 1 Cu 1.94
O 0.3836 0.7167 0.2041  2 V 1.91-1.95, 1 Cu 1.93
O 0.9846 0.9172 0.8043  1 Cu 1.92, 2 V 1.95-1.98
O 0.5862 0.1190 0.4035  1 Cu 1.93, 2 V 1.93-2.02
O 0.1872 0.3181 0.0038  2 V 1.93-1.98, 1 Cu 1.95
O 0.7897 0.5163 0.6038  2 V 1.92-1.97, 1 Cu 1.96
O 0.8154 0.6828 0.9957  1 Cu 1.92, 2 V 1.95-1.98
O 0.4164 0.8833 0.5959  2 V 1.91-1.95, 1 Cu 1.93
O 0.0103 0.0837 0.1962  2 V 1.92-1.97, 1 Cu 1.96
O 0.6128 0.2819 0.7962  2 V 1.93-1.98, 1 Cu 1.95
O 0.2138 0.4810 0.3965  1 Cu 1.93, 2 V 1.93-2.02
O 0.1206 0.6836 0.2511  1 Cu 1.92, 2 V 1.93-1.99
O 0.7225 0.8827 0.8517  1 Cu 1.93, 2 V 1.96-1.97
O 0.3207 0.0856 0.4487  2 V 1.86-1.99, 1 Cu 1.94
O 0.9249 0.2793 0.0504  1 Cu 1.94, 2 V 1.96
O 0.5238 0.4809 0.6507  1 Cu 1.94, 2 V 1.94-2.01
O 0.0775 0.7173 0.9483  1 Cu 1.93, 2 V 1.96-1.97
O 0.6794 0.9164 0.5489  1 Cu 1.92, 2 V 1.93-1.99
O 0.2762 0.1191 0.1493  1 Cu 1.94, 2 V 1.94-2.01
O 0.8751 0.3207 0.7496  1 Cu 1.94, 2 V 1.96
O 0.4793 0.5144 0.3513  2 V 1.86-1.99, 1 Cu 1.94
O 0.3091 0.4090 0.7962  2 V 1.93-1.98, 1 Cu 1.95
O 0.9087 0.6103 0.3965  1 Cu 1.93, 2 V 1.93-2.02
O 0.5060 0.8111 0.9957  1 Cu 1.92, 2 V 1.95-1.98
O 0.1044 0.0123 0.5959  2 V 1.91-1.95, 1 Cu 1.93
O 0.7098 0.2065 0.1962  2 V 1.92-1.97, 1 Cu 1.96
O 0.8913 0.9897 0.4035  1 Cu 1.93, 2 V 1.93-2.02
O 0.4909 0.1910 0.0038  2 V 1.93-1.98, 1 Cu 1.95
O 0.0902 0.3935 0.6038  2 V 1.92-1.97, 1 Cu 1.96
O 0.6956 0.5877 0.2041  2 V 1.91-1.95, 1 Cu 1.93
O 0.2940 0.7889 0.8043  1 Cu 1.92, 2 V 1.95-1.98
O 0.3144 0.4946 0.0038  2 V 1.93-1.98, 1 Cu 1.95
O 0.9124 0.6941 0.6038  2 V 1.92-1.97, 1 Cu 1.96
O 0.5126 0.8997 0.2041  2 V 1.91-1.95, 1 Cu 1.93
O 0.1129 0.0983 0.8043  1 Cu 1.92, 2 V 1.95-1.98
O 0.7154 0.2949 0.4035  1 Cu 1.93, 2 V 1.93-2.02
O 0.8876 0.9059 0.1962  2 V 1.92-1.97, 1 Cu 1.96
O 0.4856 0.1054 0.7962  2 V 1.93-1.98, 1 Cu 1.95
O 0.0846 0.3051 0.3965  1 Cu 1.93, 2 V 1.93-2.02
O 0.6871 0.5017 0.9957  1 Cu 1.92, 2 V 1.95-1.98
O 0.2874 0.7003 0.5959  2 V 1.91-1.95, 1 Cu 1.93
O 0.6550 0.8306 0.3513  2 V 1.86-1.99, 1 Cu 1.94
O 0.2569 0.0258 0.9483  1 Cu 1.93, 2 V 1.96-1.97
O 0.8553 0.2282 0.5489  1 Cu 1.92, 2 V 1.93-1.99
O 0.4555 0.4255 0.1493  1 Cu 1.94, 2 V 1.94-2.01
O 0.0546 0.6247 0.7496  1 Cu 1.94, 2 V 1.96
O 0.5431 0.5742 0.8517  1 Cu 1.93, 2 V 1.96-1.97
O 0.1450 0.7694 0.4487  2 V 1.86-1.99, 1 Cu 1.94
O 0.7454 0.9753 0.0504  1 Cu 1.94, 2 V 1.96
O 0.3445 0.1745 0.6507  1 Cu 1.94, 2 V 1.94-2.01
O 0.9447 0.3718 0.2511  1 Cu 1.92, 2 V 1.93-1.99



Record 4
Material: Li4V3OF11
Method: DFT, PBE+U
State: relaxed

Calculated values
For the calculated formation energy, the calculation gives -3083 meV/atom. Its energy with MP2020 corrections is -239.0 eV per cell. Its space-group type is P1.

Cell: 5.1995 5.4688 16.5339 Å, 79.69 89.62 89.70°
Closest atoms and distances in Å follow each position.
Positions (direct):
Li 0.6754 0.1404 0.1741  4 F 1.89-2.09
Li 0.0453 0.0983 0.5419  4 F 1.86-2.04
Li 0.9990 0.0387 0.7720  3 F 1.97-2.10, 1 O 2.14
Li 0.4757 0.1289 0.8825  3 F 1.84-2.04
Li 0.1838 0.6942 0.1580  4 F 1.90-2.10
Li 0.4590 0.5843 0.5425  4 F 1.90-1.94
Li 0.5004 0.5800 0.7688  2 F 1.91-1.96, 1 O 1.99
Li 0.9648 0.6749 0.4491  3 F 1.89-2.01
V 0.4747 0.1528 0.6727  2 O 1.85-1.93, 2 F 2.02-2.05
V 0.9975 0.9991 0.9977  6 F 1.93-2.04
V 0.9960 0.3285 0.3328  6 F 1.91-2.03
V 0.0239 0.6508 0.6733  2 O 1.86-1.94, 1 F 1.97
V 0.4970 0.5012 0.9977  6 F 1.92-2.07
V 0.4922 0.8304 0.3340  6 F 1.97-2.05
O 0.1998 0.3534 0.7057  2 V 1.86-1.93
O 0.3020 0.8548 0.7021  2 V 1.85-1.94, 1 Li 1.99
F 0.1685 0.9913 0.3668  2 V 2.01-2.03
F 0.3165 0.1626 0.0226  2 V 1.97-2.05
F 0.6847 0.1599 0.2990  2 V 2.00-2.05, 1 Li 2.09
F 0.1252 0.0227 0.8869  2 Li 1.91-2.00, 1 V 1.93
F 0.0959 0.3785 0.2194  1 Li 1.90, 1 V 1.91
F 0.3636 0.2391 0.5544  2 Li 1.86-1.93, 1 V 2.02
F 0.9049 0.3134 0.4478  2 Li 1.92-2.01, 1 V 1.94
F 0.5947 0.4539 0.1113  1 Li 1.89, 1 V 1.92
F 0.6455 0.1610 0.7835  2 Li 1.84-1.97, 1 V 2.05
F 0.3017 0.5056 0.3623  2 V 1.97-2.02
F 0.1894 0.6718 0.0323  2 V 1.98-2.04, 1 Li 2.10
F 0.6883 0.4900 0.6347  1 Li 1.94, 2 V 2.11-2.15
F 0.8109 0.3229 0.9727  2 V 1.98-1.99
F 0.8201 0.6612 0.3112  2 V 2.00-2.01
F 0.4093 0.4951 0.8858  1 V 1.92, 2 Li 1.96-2.04
F 0.4080 0.8792 0.2163  2 Li 1.92-2.03, 1 V 1.97
F 0.1228 0.7306 0.5467  3 Li 1.89-2.04
F 0.6161 0.7789 0.4482  2 Li 1.90, 1 V 1.97
F 0.9056 0.9539 0.1134  1 V 1.94, 2 Li 1.95-2.07
F 0.8491 0.6811 0.7769  2 Li 1.91-2.10, 1 V 1.97
F 0.8146 0.9938 0.6330  1 Li 1.93, 1 V 2.12
F 0.6776 0.8414 0.9659  2 V 1.99-2.07, 1 Li 2.17